Crystalline Li3BS3 at its relaxed geometry. Source: the Materials Project, functional r2SCAN.

Computed properties:
Energy of formation from the pure elements   -1.1872 eV/atom
Total DFT energy (no corrections)   -6.703 eV per atom

POSCAR file:
```
Li3BS3
1.0
6.1314 0.0000 0.0000
0.0000 8.1323 0.0000
0.0000 0.0000 10.0651
S Li B
12 12 4
Direct
0.7585 0.4208 0.4066
0.3397 0.2969 0.2500
0.2415 0.5792 0.5934
0.7415 0.9208 0.0934
0.2415 0.5792 0.9066
0.8397 0.2031 0.7500
0.2585 0.0792 0.9066
0.7585 0.4208 0.0934
0.7415 0.9208 0.4066
0.6603 0.7031 0.7500
0.1603 0.7969 0.2500
0.2585 0.0792 0.5934
0.1050 0.8312 0.0095
0.1050 0.8312 0.4905
0.5461 0.9951 0.7500
0.6050 0.6688 0.5095
0.9539 0.4951 0.7500
0.8950 0.1688 0.9905
0.4539 0.0049 0.2500
0.3950 0.3312 0.4905
0.6050 0.6688 0.9905
0.8950 0.1688 0.5095
0.3950 0.3312 0.0095
0.0461 0.5049 0.2500
0.1170 0.1201 0.7500
0.8830 0.8799 0.2500
0.3830 0.6201 0.7500
0.6170 0.3799 0.2500
```



Crystalline Li2B2Se5 at its relaxed geometry. Source: the Materials Project, functional r2SCAN.

Computed properties:
Energy of formation from the pure elements   -0.6224 eV/atom
Total DFT energy (no corrections)   -10.736 eV per atom

POSCAR file:
```
Li2B2Se5
1.0
-0.7117 -5.1374 1.1805
2.7041 -3.9502 -3.5770
9.7513 -2.5857 6.6100
Se B Li
10 4 4
Direct
0.7277 0.9306 0.9392
0.7555 0.7500 0.2500
0.2723 0.0694 0.0608
0.2445 0.2500 0.7500
0.5645 0.3497 0.1607
0.0749 0.1503 0.3393
0.4355 0.6503 0.8393
0.4025 0.4306 0.4392
0.9251 0.8497 0.6607
0.5975 0.5694 0.5608
0.5881 0.9260 0.7925
0.4119 0.0740 0.2075
0.3066 0.5740 0.7075
0.6934 0.4260 0.2925
0.8941 0.8179 0.4326
0.1059 0.1821 0.5674
0.1446 0.6821 0.0674
0.8554 0.3179 0.9326
```



Crystalline LiSi2B at its relaxed geometry. Source: the Materials Project, functional r2SCAN.

Computed properties:
Energy of formation from the pure elements   -0.1670 eV/atom
Total DFT energy (no corrections)   -6.987 eV per atom

POSCAR file:
```
LiSi2B
1.0
-4.3580 2.9939 4.3033
4.0053 -1.7090 5.2452
4.3748 7.6072 -0.8620
Si Li B
16 8 8
Direct
0.0000 0.8167 0.1298
0.6807 0.0000 0.6139
0.6833 0.5000 0.6298
0.5000 0.6833 0.3702
0.0000 0.6807 0.3861
0.3193 0.0000 0.6139
0.8193 0.5000 0.8861
0.5000 0.8193 0.1139
0.1833 0.0000 0.8702
0.5000 0.3167 0.3702
0.0000 0.1833 0.1298
0.8167 0.0000 0.8702
0.3167 0.5000 0.6298
0.0000 0.3193 0.3861
0.5000 0.1807 0.1139
0.1807 0.5000 0.8861
0.2541 0.5000 0.1731
0.7541 0.0000 0.3269
0.7459 0.5000 0.1731
0.2459 0.0000 0.3269
0.5000 0.2541 0.8269
0.0000 0.2459 0.6731
0.5000 0.7459 0.8269
0.0000 0.7541 0.6731
0.2583 0.2583 0.5000
0.2417 0.7583 0.0000
0.7583 0.7583 0.0000
0.7583 0.2417 0.0000
0.2417 0.2417 0.0000
0.7417 0.7417 0.5000
0.7417 0.2583 0.5000
0.2583 0.7417 0.5000
```



Crystalline LuB2 at its relaxed geometry. Source: the Materials Project, functional r2SCAN.

Computed properties:
Energy of formation from the pure elements   -0.7771 eV/atom
Total DFT energy (no corrections)   -18.368 eV per atom

POSCAR file:
```
LuB2
1.0
3.2360 0.0000 0.0000
-1.6180 2.8025 0.0000
0.0000 0.0000 3.7026
B Lu
2 1
Direct
0.3333 0.6667 0.5000
0.6667 0.3333 0.5000
0.0000 0.0000 0.0000
```



Crystalline LuB12 at its relaxed geometry. Source: the Materials Project, functional r2SCAN.

Computed properties:
Energy of formation from the pure elements   -0.2593 eV/atom
Total DFT energy (no corrections)   -9.970 eV per atom

POSCAR file:
```
LuB12
1.0
3.8432 -3.5930 -0.1312
-0.6105 -4.4045 -2.8152
2.7861 -0.7133 -4.4075
Lu B
1 12
Direct
0.0000 0.0000 0.0000
0.1616 0.8384 0.5000
0.8384 0.5000 0.1616
0.8384 0.5000 0.5000
0.5000 0.1616 0.8384
0.5000 0.8384 0.1616
0.5000 0.5000 0.8384
0.1616 0.5000 0.5000
0.5000 0.5000 0.1616
0.5000 0.1616 0.5000
0.8384 0.1616 0.5000
0.1616 0.5000 0.8384
0.5000 0.8384 0.5000
```



Crystalline Lu3Ni7B2 at its relaxed geometry. Source: the Materials Project, functional r2SCAN.

Computed properties:
Energy of formation from the pure elements   -0.5657 eV/atom
Total DFT energy (no corrections)   -18.299 eV per atom

POSCAR file:
```
Lu3Ni7B2
1.0
2.4820 -4.2986 0.0000
2.4820 4.2986 0.0000
0.0000 0.0000 14.0712
Lu B Ni
6 4 14
Direct
0.3333 0.6667 0.7500
0.3333 0.6667 0.9673
0.3333 0.6667 0.5327
0.6667 0.3333 0.2500
0.6667 0.3333 0.0327
0.6667 0.3333 0.4673
0.0000 0.0000 0.7500
0.6667 0.3333 0.7500
0.0000 0.0000 0.2500
0.3333 0.6667 0.2501
0.8343 0.6686 0.6473
0.0000 0.0000 0.4999
0.8343 0.1657 0.6473
0.1657 0.3314 0.3527
0.6686 0.8343 0.3527
0.3314 0.1657 0.8526
0.3314 0.1657 0.6473
0.1657 0.8343 0.1474
0.8343 0.1657 0.8526
0.6686 0.8343 0.1474
0.1657 0.3314 0.1474
0.8343 0.6685 0.8526
0.1657 0.8343 0.3527
0.0000 0.0000 0.0001
```



Crystalline LuBO3 at its relaxed geometry. Source: the Materials Project, functional r2SCAN.

Computed properties:
Energy of formation from the pure elements   -3.4294 eV/atom
Total DFT energy (no corrections)   -16.098 eV per atom

POSCAR file:
```
LuBO3
1.0
-4.9172 3.4890 0.1974
-5.1850 -0.1148 -3.0811
-5.6915 -1.0975 1.6713
Lu O B
2 6 2
Direct
0.5000 0.5000 0.5000
0.0000 0.0000 0.0000
0.0328 0.4672 0.7500
0.5328 0.2500 0.9672
0.7500 0.0328 0.4672
0.2500 0.9672 0.5328
0.9672 0.5328 0.2500
0.4672 0.7500 0.0328
0.2500 0.2500 0.2500
0.7500 0.7500 0.7500
```



Crystalline LuBPt2 at its relaxed geometry. Source: the Materials Project, functional r2SCAN.

Computed properties:
Energy of formation from the pure elements   -1.1162 eV/atom
Total DFT energy (no corrections)   -38.217 eV per atom

POSCAR file:
```
LuBPt2
1.0
0.3904 4.5015 2.6588
-4.2554 -3.0116 0.5544
3.4982 -3.8405 5.9886
B Pt Lu
3 6 3
Direct
0.5000 0.5000 0.3334
0.0000 0.5000 0.6666
0.5000 0.0000 0.0000
0.8480 0.1519 0.8333
0.1520 0.8481 0.8333
0.6961 0.8481 0.1666
0.8481 0.6962 0.5001
0.1519 0.3038 0.5001
0.3039 0.1519 0.1666
0.0000 0.5000 0.1667
0.5000 0.0000 0.5000
0.5000 0.5000 0.8333
```



Crystalline LuB4Ru4 at its relaxed geometry. Source: the Materials Project, functional r2SCAN.

Computed properties:
Energy of formation from the pure elements   -0.5353 eV/atom
Total DFT energy (no corrections)   -19.331 eV per atom

POSCAR file:
```
LuB4Ru4
1.0
-0.8744 -4.6386 7.8130
-8.5105 0.8430 3.1915
3.2621 -2.3620 -8.1915
B Ru Lu
16 16 4
Direct
0.5869 0.2802 0.0295
0.9425 0.2493 0.0295
0.8075 0.0007 0.4705
0.0302 0.5007 0.1933
0.4993 0.6925 0.5295
0.6631 0.1925 0.1932
0.4425 0.4130 0.6932
0.0869 0.0575 0.3068
0.3075 0.8369 0.8068
0.5302 0.3369 0.5295
0.1631 0.9698 0.4705
0.2198 0.9131 0.9706
0.9993 0.4698 0.8067
0.2507 0.5575 0.9705
0.7198 0.7493 0.3067
0.7507 0.7802 0.6933
0.0379 0.8032 0.4644
0.4265 0.9621 0.7653
0.8388 0.3032 0.7654
0.5532 0.5888 0.2654
0.2121 0.1765 0.2653
0.0532 0.7879 0.9644
0.3387 0.5734 0.5356
0.9266 0.1613 0.4644
0.9112 0.9468 0.7346
0.3235 0.2879 0.7347
0.5379 0.0735 0.2347
0.6968 0.4621 0.5356
0.7121 0.4468 0.0356
0.4112 0.6766 0.9644
0.8234 0.0888 0.0356
0.1968 0.6612 0.2346
0.2500 0.2500 0.0000
0.7500 0.7500 0.0000
0.0000 0.5000 0.5000
0.5000 0.0000 0.5000
```



Crystalline LuB2Ru at its relaxed geometry. Source: the Materials Project, functional r2SCAN.

Computed properties:
Energy of formation from the pure elements   -0.7338 eV/atom
Total DFT energy (no corrections)   -20.283 eV per atom

POSCAR file:
```
LuB2Ru
1.0
-0.4674 -3.3990 3.9531
4.5463 2.4379 2.6337
-3.8392 3.9659 2.9561
B Lu Ru
8 4 4
Direct
0.4168 0.8642 0.4639
0.0832 0.8642 0.4639
0.4168 0.3642 0.0361
0.5832 0.1358 0.5361
0.5832 0.6358 0.9639
0.9168 0.1358 0.5361
0.0832 0.3642 0.0361
0.9168 0.6358 0.9639
0.7500 0.9895 0.1662
0.7500 0.4895 0.3338
0.2500 0.5105 0.6662
0.2500 0.0105 0.8338
0.2500 0.1806 0.3189
0.2500 0.6806 0.1811
0.7500 0.3194 0.8189
0.7500 0.8194 0.6811
```



Crystalline Lu2B6Ru at its relaxed geometry. Source: the Materials Project, functional r2SCAN.

Computed properties:
Energy of formation from the pure elements   -0.8155 eV/atom
Total DFT energy (no corrections)   -17.000 eV per atom

POSCAR file:
```
Lu2B6Ru
1.0
-0.1957 3.4034 -1.0962
-8.3863 -1.4253 -2.9281
-4.0613 3.0370 10.1536
Ru Lu B
4 8 24
Direct
0.0000 0.1379 0.1792
0.0000 0.8621 0.8208
0.0000 0.3621 0.6792
0.0000 0.6379 0.3208
0.0000 0.0562 0.6271
0.0000 0.3205 0.4144
0.0000 0.9438 0.3729
0.0000 0.5562 0.8729
0.0000 0.4438 0.1271
0.0000 0.6795 0.5856
0.0000 0.1795 0.9144
0.0000 0.8205 0.0856
0.5000 0.2490 0.0796
0.5000 0.8690 0.6842
0.5000 0.9464 0.9337
0.5000 0.4464 0.5663
0.5000 0.7510 0.9204
0.5000 0.5183 0.7129
0.5000 0.0536 0.0663
0.5000 0.8930 0.5295
0.5000 0.6310 0.1842
0.5000 0.4817 0.2871
0.5000 0.2917 0.2346
0.5000 0.3690 0.8158
0.5000 0.1070 0.4705
0.5000 0.0183 0.7871
0.5000 0.9817 0.2129
0.5000 0.2510 0.5796
0.5000 0.7083 0.7654
0.5000 0.7490 0.4204
0.5000 0.2083 0.7346
0.5000 0.3930 0.9705
0.5000 0.1310 0.3158
0.5000 0.7917 0.2654
0.5000 0.5536 0.4337
0.5000 0.6070 0.0295
```



Crystalline LuB2Ru3 at its relaxed geometry. Source: the Materials Project, functional r2SCAN.

Computed properties:
Energy of formation from the pure elements   -0.5237 eV/atom
Total DFT energy (no corrections)   -22.031 eV per atom

POSCAR file:
```
LuB2Ru3
1.0
-5.1705 -0.3753 -1.6447
3.6659 -3.6394 -1.7017
-0.6284 -1.7426 2.3732
Ru B Lu
3 2 1
Direct
0.5000 0.5000 0.5000
0.0000 0.5000 0.5000
0.5000 0.0000 0.5000
0.3333 0.6667 0.0000
0.6667 0.3333 0.0000
0.0000 0.0000 0.0000
```



Crystalline MgB4 at its relaxed geometry. Source: the Materials Project, functional r2SCAN.

Computed properties:
Energy of formation from the pure elements   -0.1728 eV/atom
Total DFT energy (no corrections)   -6.884 eV per atom

POSCAR file:
```
MgB4
1.0
4.3782 0.0000 0.0000
0.0000 5.4695 0.0000
0.0000 0.0000 7.4130
B Mg
16 4
Direct
0.2500 0.2216 0.1527
0.4420 0.1331 0.5628
0.5580 0.8669 0.4372
0.0580 0.6331 0.9372
0.7500 0.2784 0.6527
0.0580 0.1331 0.5628
0.7500 0.7784 0.8473
0.2500 0.5531 0.1474
0.5580 0.3669 0.0628
0.2500 0.7216 0.3473
0.2500 0.0531 0.3526
0.7500 0.4469 0.8526
0.4420 0.6331 0.9372
0.9420 0.8669 0.4372
0.7500 0.9469 0.6474
0.9420 0.3669 0.0628
0.2500 0.5462 0.6391
0.7500 0.4538 0.3609
0.2500 0.0462 0.8609
0.7500 0.9538 0.1391
```



Crystalline MgNi3B2 at its relaxed geometry. Source: the Materials Project, functional r2SCAN.

Computed properties:
Energy of formation from the pure elements   -0.3876 eV/atom
Total DFT energy (no corrections)   -9.522 eV per atom

POSCAR file:
```
MgNi3B2
1.0
4.8440 0.0000 0.0000
-2.4220 4.1950 0.0000
0.0000 0.0000 8.6941
Mg B Ni
3 6 9
Direct
0.0000 0.0000 0.6667
0.0000 0.0000 0.3333
0.0000 0.0000 0.0000
0.2267 0.6133 0.3333
0.6133 0.3867 0.6667
0.6133 0.2267 0.0000
0.7733 0.3867 0.3333
0.3867 0.6133 0.6667
0.3867 0.7733 0.0000
0.5000 0.5000 0.4591
0.5000 0.0000 0.5000
0.5000 0.0000 0.7924
0.0000 0.5000 0.1257
0.5000 0.5000 0.1667
0.0000 0.5000 0.8333
0.0000 0.5000 0.5409
0.5000 0.0000 0.2076
0.5000 0.5000 0.8743
```